No. 1
{"formula": "Al12W", "functional": "r2SCAN", "state": "relaxed", "e_form_ev_per_atom": -0.072, "volume_a3_per_cell": 213.6, "total_energy_ev_per_cell": -133.1, "lattice": [[-5.0853, 0.3279, 4.0704], [3.7108, -5.1297, 1.5660], [3.5280, 5.4640, 0.4841]], "species": ["Al", "Al", "Al", "Al", "Al", "Al", "Al", "Al", "Al", "Al", "Al", "Al", "W"], "frac_coords": [[0.4945, 0.3076, 0.1869], [0.3076, 0.8131, 0.1207], [0.1869, 0.8793, 0.6924], [0.6924, 0.8131, 0.5055], [0.8131, 0.1207, 0.3076], [0.6924, 0.1869, 0.8793], [0.8131, 0.5055, 0.6924], [0.1869, 0.4945, 0.3076], [0.3076, 0.1869, 0.4945], [0.1207, 0.3076, 0.8131], [0.8793, 0.6924, 0.1869], [0.5055, 0.6924, 0.8131], [0.0000, 0.0000, 0.0000]]}

No. 2
{"formula": "YAl2", "functional": "r2SCAN", "state": "relaxed", "e_form_ev_per_atom": -0.583, "volume_a3_per_cell": 120.9, "total_energy_ev_per_cell": -71.1, "lattice": [[4.8064, 0.0000, 2.7750], [1.6021, 4.5315, 2.7750], [0.0000, 0.0000, 5.5500]], "species": ["Y", "Y", "Al", "Al", "Al", "Al"], "frac_coords": [[0.8750, 0.8750, 0.8750], [0.1250, 0.1250, 0.1250], [0.5000, 0.5000, 0.5000], [0.5000, 0.5000, 0.0000], [0.0000, 0.5000, 0.5000], [0.5000, 0.0000, 0.5000]]}

No. 3
{"formula": "Y2Al", "functional": "r2SCAN", "state": "relaxed", "e_form_ev_per_atom": -0.336, "volume_a3_per_cell": 320.7, "total_energy_ev_per_cell": -193.5, "lattice": [[5.1128, 0.0000, 0.0000], [0.0000, 6.6092, 0.0000], [0.0000, 0.0000, 9.4903]], "species": ["Y", "Y", "Y", "Y", "Y", "Y", "Y", "Y", "Al", "Al", "Al", "Al"], "frac_coords": [[0.7500, 0.1870, 0.9272], [0.2500, 0.8130, 0.0728], [0.7500, 0.6870, 0.5728], [0.2500, 0.3130, 0.4272], [0.7500, 0.0274, 0.2925], [0.2500, 0.9726, 0.7075], [0.7500, 0.5274, 0.2075], [0.2500, 0.4726, 0.7925], [0.7500, 0.7098, 0.8957], [0.2500, 0.2902, 0.1043], [0.7500, 0.2098, 0.6043], [0.2500, 0.7902, 0.3957]]}

No. 4
{"formula": "YbYAl6", "functional": "r2SCAN", "state": "relaxed", "e_form_ev_per_atom": -0.445, "volume_a3_per_cell": 300.6, "total_energy_ev_per_cell": -201.6, "lattice": [[3.0205, -5.2316, 0.0000], [3.0205, 5.2316, 0.0000], [0.0000, 0.0000, 9.5101]], "species": ["Yb", "Yb", "Y", "Y", "Al", "Al", "Al", "Al", "Al", "Al", "Al", "Al", "Al", "Al", "Al", "Al"], "frac_coords": [[0.0000, 0.0000, 0.5000], [0.0000, 0.0000, 0.0000], [0.3333, 0.6667, 0.2500], [0.6667, 0.3333, 0.7500], [0.8182, 0.6364, 0.2500], [0.3636, 0.1818, 0.2500], [0.8182, 0.1818, 0.2500], [0.1818, 0.3636, 0.7500], [0.6364, 0.8182, 0.7500], [0.1818, 0.8182, 0.7500], [0.5000, 0.5000, 0.5000], [0.5000, 0.0000, 0.5000], [0.0000, 0.5000, 0.5000], [0.5000, 0.5000, 0.0000], [0.5000, 0.0000, 0.0000], [0.0000, 0.5000, 0.0000]]}

No. 5
{"formula": "YbYAl4", "functional": "r2SCAN", "state": "relaxed", "e_form_ev_per_atom": -0.572, "volume_a3_per_cell": 118.3, "total_energy_ev_per_cell": -87.2, "lattice": [[0.0000, 3.8959, 3.8959], [3.8959, 0.0000, 3.8959], [3.8959, 3.8959, 0.0000]], "species": ["Yb", "Y", "Al", "Al", "Al", "Al"], "frac_coords": [[0.0000, 0.0000, 0.0000], [0.2500, 0.2500, 0.2500], [0.6251, 0.6251, 0.1247], [0.6251, 0.1247, 0.6251], [0.1247, 0.6251, 0.6251], [0.6251, 0.6251, 0.6251]]}

No. 6
{"formula": "YbAl3", "functional": "r2SCAN", "state": "relaxed", "e_form_ev_per_atom": -0.451, "volume_a3_per_cell": 73.1, "total_energy_ev_per_cell": -58.5, "lattice": [[4.1817, 0.0000, 0.0000], [0.0000, 4.1817, 0.0000], [0.0000, 0.0000, 4.1817]], "species": ["Yb", "Al", "Al", "Al"], "frac_coords": [[0.0000, 0.0000, 0.0000], [0.0000, 0.5000, 0.5000], [0.5000, 0.5000, 0.0000], [0.5000, 0.0000, 0.5000]]}

No. 7
{"formula": "YbAl2", "functional": "r2SCAN", "state": "relaxed", "e_form_ev_per_atom": -0.568, "volume_a3_per_cell": 115.5, "total_energy_ev_per_cell": -103.4, "lattice": [[0.0000, 3.8648, 3.8648], [3.8648, 0.0000, 3.8648], [3.8648, 3.8648, 0.0000]], "species": ["Yb", "Yb", "Al", "Al", "Al", "Al"], "frac_coords": [[0.7500, 0.7500, 0.7500], [0.5000, 0.5000, 0.5000], [0.1250, 0.6250, 0.1250], [0.1250, 0.1250, 0.6250], [0.6250, 0.1250, 0.1250], [0.1250, 0.1250, 0.1250]]}

No. 8
{"formula": "Zr2Al3Zn", "functional": "r2SCAN", "state": "relaxed", "e_form_ev_per_atom": -0.587, "volume_a3_per_cell": 103.6, "total_energy_ev_per_cell": -78.1, "lattice": [[4.5152, -2.6532, 0.0008], [4.5152, 2.6532, 0.0008], [2.9554, 0.0000, 4.3235]], "species": ["Zr", "Zr", "Al", "Al", "Al", "Zn"], "frac_coords": [[0.6245, 0.6245, 0.6245], [0.3755, 0.3755, 0.3755], [0.0000, 0.5000, 0.0000], [0.5000, 0.0000, 0.0000], [0.0000, 0.0000, 0.5000], [0.0000, 0.0000, 0.0000]]}

No. 9
{"formula": "Zr3Al", "functional": "r2SCAN", "state": "relaxed", "e_form_ev_per_atom": -0.309, "volume_a3_per_cell": 168.6, "total_energy_ev_per_cell": -152.4, "lattice": [[-5.9817, -1.2409, -1.0657], [3.1691, -3.3453, 4.1498], [-1.3248, 3.2602, 3.6398]], "species": ["Zr", "Zr", "Zr", "Zr", "Zr", "Zr", "Al", "Al"], "frac_coords": [[0.1719, 0.3439, 0.2500], [0.6561, 0.8281, 0.2500], [0.1719, 0.8281, 0.2500], [0.8281, 0.6561, 0.7500], [0.3439, 0.1719, 0.7500], [0.8281, 0.1719, 0.7500], [0.3333, 0.6667, 0.7500], [0.6667, 0.3333, 0.2500]]}

No. 10
{"formula": "Zr3Al", "functional": "r2SCAN", "state": "relaxed", "e_form_ev_per_atom": -0.319, "volume_a3_per_cell": 83.8, "total_energy_ev_per_cell": -76.3, "lattice": [[4.3767, 0.0000, 0.0000], [0.0000, 4.3767, 0.0000], [0.0000, 0.0000, 4.3767]], "species": ["Zr", "Zr", "Zr", "Al"], "frac_coords": [[0.0000, 0.5000, 0.5000], [0.5000, 0.5000, 0.0000], [0.5000, 0.0000, 0.5000], [0.0000, 0.0000, 0.0000]]}

No. 11
{"formula": "Zr4Al3", "functional": "r2SCAN", "state": "relaxed", "e_form_ev_per_atom": -0.519, "volume_a3_per_cell": 138.3, "total_energy_ev_per_cell": -114.8, "lattice": [[-4.2069, -2.3791, 2.4929], [2.5829, -2.5773, -4.0322], [3.3763, -2.2183, 3.5807]], "species": ["Zr", "Zr", "Zr", "Zr", "Al", "Al", "Al"], "frac_coords": [[0.3333, 0.6667, 0.2603], [0.3333, 0.6667, 0.7397], [0.6667, 0.3333, 0.5000], [0.0000, 0.0000, 0.5000], [0.3333, 0.1667, 0.0000], [0.8333, 0.6667, 0.0000], [0.8333, 0.1667, 0.0000]]}

No. 12
{"formula": "Zr2Al3", "functional": "r2SCAN", "state": "relaxed", "e_form_ev_per_atom": -0.581, "volume_a3_per_cell": 185.7, "total_energy_ev_per_cell": -137.2, "lattice": [[5.4424, 0.0012, -1.0354], [-2.9918, 4.5462, -1.0353], [0.0044, 0.0082, 7.5025]], "species": ["Zr", "Zr", "Zr", "Zr", "Al", "Al", "Al", "Al", "Al", "Al"], "frac_coords": [[0.8653, 0.7277, 0.6054], [0.1223, 0.2600, 0.3946], [0.9777, 0.6153, 0.1054], [0.5099, 0.8723, 0.8946], [0.1346, 0.1345, 0.0000], [0.3845, 0.8846, 0.5000], [0.4548, 0.3168, 0.7688], [0.5480, 0.6860, 0.2312], [0.5668, 0.2048, 0.2688], [0.9360, 0.2980, 0.7312]]}

No. 13
{"formula": "Zr5Al4", "functional": "r2SCAN", "state": "relaxed", "e_form_ev_per_atom": -0.462, "volume_a3_per_cell": 357.2, "total_energy_ev_per_cell": -289.7, "lattice": [[8.4394, 0.0000, 0.0000], [-4.2197, 7.3087, 0.0000], [0.0000, 0.0000, 5.7913]], "species": ["Zr", "Zr", "Zr", "Zr", "Zr", "Zr", "Zr", "Zr", "Zr", "Zr", "Al", "Al", "Al", "Al", "Al", "Al", "Al", "Al"], "frac_coords": [[0.2911, 0.2911, 0.7500], [0.0000, 0.7089, 0.7500], [0.0000, 0.2911, 0.2500], [0.7089, 0.0000, 0.7500], [0.3333, 0.6667, 0.5000], [0.7089, 0.7089, 0.2500], [0.2911, 0.0000, 0.2500], [0.6667, 0.3333, 0.5000], [0.6667, 0.3333, 0.0000], [0.3333, 0.6667, 0.0000], [0.0000, 0.6306, 0.2500], [0.3694, 0.3694, 0.2500], [0.6306, 0.0000, 0.2500], [0.0000, 0.0000, 0.0000], [0.3694, 0.0000, 0.7500], [0.6306, 0.6306, 0.7500], [0.0000, 0.0000, 0.5000], [0.0000, 0.3694, 0.7500]]}

No. 14
{"formula": "CeAs2Au", "functional": "r2SCAN", "state": "relaxed", "e_form_ev_per_atom": -0.881, "volume_a3_per_cell": 169.4, "total_energy_ev_per_cell": -228.7, "lattice": [[-3.7363, 0.4828, 1.6339], [-1.6426, 0.0245, -3.7635], [-1.1063, -9.9756, 0.4180]], "species": ["Ce", "Ce", "As", "As", "As", "As", "Au", "Au"], "frac_coords": [[0.5000, 0.0000, 0.7716], [0.0000, 0.5000, 0.2284], [0.5000, 0.0000, 0.3136], [0.0000, 0.5000, 0.6864], [0.5000, 0.5000, 0.0000], [0.0000, 0.0000, 0.0000], [0.5000, 0.5000, 0.5000], [0.0000, 0.0000, 0.5000]]}

No. 15
{"formula": "GeAsAu", "functional": "r2SCAN", "state": "relaxed", "e_form_ev_per_atom": -0.105, "volume_a3_per_cell": 130.7, "total_energy_ev_per_cell": -159.0, "lattice": [[-2.2883, -0.7641, 4.2514], [1.0870, -4.7084, 0.7378], [4.1104, -0.7318, 4.7700]], "species": ["Ge", "Ge", "As", "As", "Au", "Au"], "frac_coords": [[0.9348, 0.1930, 0.3292], [0.3070, 0.5652, 0.1708], [0.0631, 0.8081, 0.6649], [0.6919, 0.4369, 0.8351], [0.5027, 0.4995, 0.4971], [0.0005, 0.9973, 0.0029]]}

No. 16
{"formula": "NdAs2Au", "functional": "r2SCAN", "state": "relaxed", "e_form_ev_per_atom": -0.873, "volume_a3_per_cell": 349.1, "total_energy_ev_per_cell": -451.6, "lattice": [[4.0747, 0.0000, 0.0000], [0.0000, 4.1187, 0.0000], [0.0000, 0.0000, 20.8036]], "species": ["Nd", "Nd", "Nd", "Nd", "As", "As", "As", "As", "As", "As", "As", "As", "Au", "Au", "Au", "Au"], "frac_coords": [[0.2500, 0.2262, 0.1176], [0.7500, 0.7262, 0.3824], [0.2500, 0.2738, 0.6176], [0.7500, 0.7738, 0.8824], [0.2500, 0.6970, 0.0021], [0.7500, 0.7262, 0.1605], [0.2500, 0.2262, 0.3395], [0.7500, 0.1970, 0.4979], [0.2500, 0.8030, 0.5021], [0.7500, 0.7738, 0.6605], [0.2500, 0.2738, 0.8395], [0.7500, 0.3030, 0.9979], [0.7500, 0.2223, 0.2503], [0.2500, 0.7223, 0.2497], [0.7500, 0.2777, 0.7503], [0.2500, 0.7777, 0.7497]]}

No. 17
{"formula": "SrAsAu", "functional": "r2SCAN", "state": "relaxed", "e_form_ev_per_atom": -1.058, "volume_a3_per_cell": 148.8, "total_energy_ev_per_cell": -167.2, "lattice": [[-2.3247, 1.4176, -3.5672], [-2.0640, -2.3006, 3.2536], [-1.7585, 7.3030, 4.0483]], "species": ["Sr", "Sr", "As", "As", "Au", "Au"], "frac_coords": [[0.0000, 0.0000, 0.0000], [0.0000, 0.0000, 0.5000], [0.3333, 0.6667, 0.2500], [0.6667, 0.3333, 0.7500], [0.3333, 0.6667, 0.7500], [0.6667, 0.3333, 0.2500]]}

No. 18
{"formula": "Yb2AsAu", "functional": "r2SCAN", "state": "relaxed", "e_form_ev_per_atom": -0.925, "volume_a3_per_cell": 86.6, "total_energy_ev_per_cell": -142.1, "lattice": [[-2.1075, -2.1935, 3.9255], [-4.8369, 0.6588, 0.9127], [-3.1858, -3.7510, -0.6651]], "species": ["Yb", "Yb", "As", "Au"], "frac_coords": [[0.2500, 0.2500, 0.2500], [0.7500, 0.7500, 0.7500], [0.5000, 0.5000, 0.5000], [0.0000, 0.0000, 0.0000]]}

No. 19
{"formula": "BaAs3", "functional": "r2SCAN", "state": "relaxed", "e_form_ev_per_atom": -0.744, "volume_a3_per_cell": 226.1, "total_energy_ev_per_cell": -147.2, "lattice": [[-5.6922, 0.0100, 2.2560], [-3.0969, -5.1798, -2.2862], [-0.2287, -4.1390, 4.9461]], "species": ["Ba", "Ba", "As", "As", "As", "As", "As", "As"], "frac_coords": [[0.3383, 0.8360, 0.8360], [0.6617, 0.1640, 0.1640], [0.1810, 0.9033, 0.3755], [0.8190, 0.6245, 0.0967], [0.2002, 0.5061, 0.5061], [0.7998, 0.4939, 0.4939], [0.1810, 0.3755, 0.9033], [0.8190, 0.0967, 0.6245]]}

No. 20
{"formula": "Ba4As3", "functional": "r2SCAN", "state": "relaxed", "e_form_ev_per_atom": -1.231, "volume_a3_per_cell": 504.3, "total_energy_ev_per_cell": -317.5, "lattice": [[-1.6824, 6.6926, 5.2731], [6.0646, 2.3139, -5.7700], [-7.2585, -2.2824, -4.1871]], "species": ["Ba", "Ba", "Ba", "Ba", "Ba", "Ba", "Ba", "Ba", "As", "As", "As", "As", "As", "As"], "frac_coords": [[0.8614, 0.8614, 0.8614], [0.6386, 0.0000, 0.5000], [0.5000, 0.6386, 0.0000], [0.3614, 0.3614, 0.3614], [0.0000, 0.5000, 0.6386], [0.1386, 0.0000, 0.5000], [0.0000, 0.5000, 0.1386], [0.5000, 0.1386, 0.0000], [0.6250, 0.3750, 0.7500], [0.8750, 0.1250, 0.2500], [0.3750, 0.7500, 0.6250], [0.1250, 0.2500, 0.8750], [0.7500, 0.6250, 0.3750], [0.2500, 0.8750, 0.1250]]}

No. 21
{"formula": "Ba2Cd2As3", "functional": "r2SCAN", "state": "relaxed", "e_form_ev_per_atom": -0.917, "volume_a3_per_cell": 412.6, "total_energy_ev_per_cell": -287.5, "lattice": [[0.0000, -4.5982, 0.0000], [6.9747, -2.2991, -5.1870], [6.9719, -2.2991, 7.6799]], "species": ["Ba", "Ba", "Ba", "Ba", "Cd", "Cd", "Cd", "Cd", "As", "As", "As", "As", "As", "As"], "frac_coords": [[0.2686, 0.1307, 0.3321], [0.7314, 0.8693, 0.6679], [0.3927, 0.2629, 0.9518], [0.6073, 0.7371, 0.0482], [0.0410, 0.2327, 0.6854], [0.9590, 0.7673, 0.3146], [0.4107, 0.5270, 0.6516], [0.5893, 0.4730, 0.3484], [0.0717, 0.9732, 0.8834], [0.9283, 0.0268, 0.1166], [0.1513, 0.4958, 0.2016], [0.8487, 0.5042, 0.7984], [0.3854, 0.7688, 0.4604], [0.6146, 0.2312, 0.5396]]}

No. 22
{"formula": "BaCuAs", "functional": "r2SCAN", "state": "relaxed", "e_form_ev_per_atom": -0.854, "volume_a3_per_cell": 152.0, "total_energy_ev_per_cell": -109.2, "lattice": [[4.3387, 0.0000, 0.0000], [-2.1694, 3.7575, 0.0000], [0.0000, 0.0000, 9.3245]], "species": ["Ba", "Ba", "Cu", "Cu", "As", "As"], "frac_coords": [[0.0000, 0.0000, 0.5000], [0.0000, 0.0000, 0.0000], [0.6667, 0.3333, 0.2500], [0.3333, 0.6667, 0.7500], [0.3333, 0.6667, 0.2500], [0.6667, 0.3333, 0.7500]]}